No. 1
First-principles (PBE-GGA) data for a geometry-optimized Lu2Te5O13 structure, as listed in the Materials Project database.

Values from the calculation:
Space group ... P-1, No. 2
Formation energy ... -4258.5 kJ/mol of formula units

Geometry as POSCAR:
```
Lu2Te5O13
1.0
6.898 0.000 0.000
2.325 8.430 0.000
0.571 0.118 10.687
Te O Lu
10 26 4
direct
0.271 0.396 0.488
0.159 0.802 0.643
0.710 0.125 0.023
0.873 0.646 0.895
0.729 0.604 0.512
0.127 0.354 0.105
0.841 0.198 0.357
0.290 0.875 0.977
0.442 0.902 0.300
0.558 0.098 0.700
0.929 0.983 0.308
0.039 0.352 0.569
0.961 0.648 0.431
0.071 0.017 0.692
0.649 0.016 0.878
0.768 0.497 0.813
0.351 0.984 0.122
0.679 0.770 0.223
0.315 0.737 0.284
0.868 0.507 0.101
0.055 0.820 0.043
0.685 0.263 0.716
0.538 0.806 0.480
0.529 0.331 0.997
0.068 0.265 0.276
0.945 0.180 0.957
0.663 0.266 0.225
0.340 0.512 0.620
0.660 0.488 0.380
0.932 0.735 0.724
0.132 0.493 0.899
0.462 0.194 0.520
0.321 0.230 0.777
0.471 0.669 0.003
0.337 0.734 0.775
0.232 0.503 0.187
0.449 0.469 0.819
0.998 0.257 0.759
0.551 0.531 0.181
0.002 0.743 0.241
```

No. 2
First-principles (PBE-GGA) data for a geometry-optimized Mg2Si structure, as listed in the Materials Project database.

Values from the calculation:
Space group ... P4/nmm, No. 129
Formation energy ... -11.8 kJ/mol of formula units

Geometry as POSCAR:
```
Mg2Si
1.0
-1.066 -3.497 2.054
3.042 0.716 2.796
-4.396 3.607 3.858
Mg Si
4 2
direct
0.500 0.000 0.358
0.000 0.000 0.000
0.000 0.500 0.642
0.500 0.500 0.000
0.000 0.500 0.254
0.500 0.000 0.746
```

No. 3
First-principles (PBE-GGA) data for a geometry-optimized Sr2CuH6 structure, as listed in the Materials Project database.

Values from the calculation:
Space group ... Cmce, No. 64
Formation energy ... -390.8 kJ/mol of formula units

Geometry as POSCAR:
```
Sr2CuH6
1.0
6.788 2.728 0.000
-6.788 2.728 0.000
0.000 0.000 5.463
Sr H Cu
4 12 2
direct
0.355 0.645 0.000
0.645 0.355 0.000
0.145 0.855 0.500
0.855 0.145 0.500
0.000 0.500 0.250
0.762 0.762 0.762
0.384 0.616 0.500
0.238 0.238 0.238
0.738 0.738 0.262
0.500 0.000 0.750
0.116 0.884 0.000
0.000 0.500 0.750
0.616 0.384 0.500
0.884 0.116 0.000
0.262 0.262 0.738
0.500 0.000 0.250
0.500 0.500 0.500
0.000 0.000 0.000
```

No. 4
First-principles (PBE-GGA) data for a geometry-optimized CsLiH4SO5 structure, as listed in the Materials Project database.

Values from the calculation:
Piezoelectric modulus e_max ... 0.39 C/m²
Space group ... Cm, No. 8
Formation energy ... -1959.8 kJ/mol of formula units

Geometry as POSCAR:
```
CsLiH4SO5
1.0
-6.377 -0.356 2.056
-5.581 -0.975 -3.595
-1.117 -4.667 0.354
S Li Cs O H
1 1 1 5 4
direct
0.741 0.741 0.726
0.323 0.323 0.629
0.000 0.000 0.000
0.991 0.562 0.871
0.562 0.991 0.871
0.224 0.224 0.369
0.491 0.491 0.429
0.605 0.605 0.837
0.542 0.542 0.219
0.542 0.542 0.556
0.100 0.370 0.233
0.370 0.100 0.233
```

No. 5
First-principles (PBE-GGA) data for a geometry-optimized SmLuHg2 structure, as listed in the Materials Project database.

Values from the calculation:
Space group ... Fm-3m, No. 225
Formation energy ... -179.3 kJ/mol of formula units

Geometry as POSCAR:
```
SmLuHg2
1.0
0.000 3.733 3.733
3.733 0.000 3.733
3.733 3.733 0.000
Sm Lu Hg
1 1 2
direct
0.500 0.500 0.500
0.000 0.000 0.000
0.250 0.250 0.250
0.750 0.750 0.750
```

No. 6
First-principles (PBE-GGA) data for a geometry-optimized AsPd2 structure, as listed in the Materials Project database.

Values from the calculation:
Space group ... P-62m, No. 189
Formation energy ... -104.5 kJ/mol of formula units

Geometry as POSCAR:
```
AsPd2
1.0
4.941 3.917 2.352
-6.370 1.146 1.845
0.427 -2.268 2.881
As Pd
3 6
direct
0.333 0.667 0.000
0.000 0.000 0.500
0.667 0.333 0.000
0.735 0.000 0.000
0.608 0.608 0.500
0.000 0.735 0.000
0.000 0.392 0.500
0.265 0.265 0.000
0.392 0.000 0.500
```

No. 7
First-principles (PBE-GGA) data for a geometry-optimized BaCaSbF7 structure, as listed in the Materials Project database.

Values from the calculation:
Space group ... P2_1/c, No. 14
Formation energy ... -3412.5 kJ/mol of formula units

Geometry as POSCAR:
```
BaCaSbF7
1.0
10.707 0.000 0.000
0.000 6.051 0.000
0.000 0.632 10.120
F Sb Ba Ca
28 4 4 4
direct
0.569 0.084 0.881
0.740 0.480 0.761
0.986 0.974 0.138
0.737 0.957 0.233
0.712 0.754 0.986
0.431 0.916 0.119
0.014 0.026 0.862
0.260 0.520 0.239
0.922 0.355 0.581
0.237 0.043 0.267
0.578 0.355 0.081
0.493 0.478 0.640
0.212 0.246 0.514
0.486 0.026 0.362
0.263 0.043 0.767
0.763 0.957 0.733
0.788 0.754 0.486
0.760 0.480 0.261
0.931 0.084 0.381
0.240 0.520 0.739
0.078 0.645 0.419
0.507 0.522 0.360
0.514 0.974 0.638
0.007 0.478 0.140
0.069 0.916 0.619
0.422 0.645 0.919
0.288 0.246 0.014
0.993 0.522 0.860
0.899 0.786 0.302
0.601 0.786 0.802
0.399 0.214 0.198
0.101 0.214 0.698
0.825 0.268 0.003
0.325 0.732 0.497
0.175 0.732 0.997
0.675 0.268 0.503
0.594 0.687 0.179
0.406 0.313 0.821
0.906 0.687 0.679
0.094 0.313 0.321
```

No. 8
First-principles (PBE-GGA) data for a geometry-optimized Cs3Nb2Se11 structure, as listed in the Materials Project database.

Values from the calculation:
Space group ... P2_1/c, No. 14
Formation energy ... -1703.6 kJ/mol of formula units

Geometry as POSCAR:
```
Cs3Nb2Se11
1.0
8.727 0.000 0.000
0.000 12.854 0.000
0.000 4.738 20.389
Cs Se Nb
12 44 8
direct
0.328 0.997 0.838
0.828 0.003 0.662
0.655 0.459 0.140
0.681 0.230 0.380
0.819 0.230 0.880
0.345 0.541 0.860
0.172 0.997 0.338
0.155 0.541 0.360
0.845 0.459 0.640
0.181 0.770 0.120
0.319 0.770 0.620
0.672 0.003 0.162
0.021 0.079 0.045
0.738 0.892 0.846
0.950 0.245 0.528
0.929 0.514 0.907
0.479 0.079 0.545
0.571 0.514 0.407
0.565 0.237 0.732
0.262 0.108 0.154
0.550 0.245 0.028
0.996 0.737 0.950
0.236 0.257 0.892
0.366 0.000 0.014
0.762 0.892 0.346
0.450 0.755 0.972
0.429 0.486 0.593
0.227 0.472 0.187
0.134 0.000 0.514
0.143 0.372 0.541
0.890 0.789 0.280
0.273 0.472 0.687
0.610 0.789 0.780
0.238 0.108 0.654
0.634 0.000 0.986
0.110 0.211 0.720
0.643 0.628 0.959
0.435 0.763 0.268
0.065 0.763 0.768
0.496 0.263 0.550
0.004 0.263 0.050
0.773 0.528 0.813
0.071 0.486 0.093
0.521 0.921 0.455
0.357 0.372 0.041
0.050 0.755 0.472
0.504 0.737 0.450
0.727 0.528 0.313
0.935 0.237 0.232
0.736 0.743 0.608
0.764 0.743 0.108
0.979 0.921 0.955
0.857 0.628 0.459
0.264 0.257 0.392
0.866 0.000 0.486
0.390 0.211 0.220
0.231 0.198 0.507
0.731 0.802 0.993
0.144 0.292 0.160
0.769 0.802 0.493
0.356 0.292 0.660
0.269 0.198 0.007
0.644 0.708 0.340
0.856 0.708 0.840
```

No. 9
First-principles (PBE-GGA) data for a geometry-optimized MnZnS4 structure, as listed in the Materials Project database.

Values from the calculation:
Space group ... P2_1/c, No. 14
Formation energy ... -421.8 kJ/mol of formula units

Geometry as POSCAR:
```
MnZnS4
1.0
5.726 0.000 0.000
0.000 5.716 0.000
0.000 0.043 5.742
S Mn Zn
8 2 2
direct
0.096 0.405 0.873
0.123 0.125 0.412
0.623 0.375 0.588
0.404 0.905 0.873
0.877 0.875 0.588
0.596 0.095 0.127
0.377 0.625 0.412
0.904 0.595 0.127
0.000 0.500 0.500
0.500 0.000 0.500
0.500 0.500 0.000
0.000 0.000 0.000
```

No. 10
First-principles (PBE-GGA) data for a geometry-optimized Na7TaZn3P6O24 structure, as listed in the Materials Project database.

Values from the calculation:
Space group ... P1, No. 1
Formation energy ... -10203.6 kJ/mol of formula units

Geometry as POSCAR:
```
Na7TaZn3P6O24
1.0
-0.781 -8.993 -0.006
2.942 4.271 -7.375
20.722 -1.772 7.261
O P Na Zn Ta
72 18 21 9 3
direct
0.187 0.228 0.694
0.168 0.685 0.759
0.966 0.800 0.082
0.139 0.645 0.078
0.633 0.492 0.920
0.182 0.187 0.413
0.504 0.641 0.864
0.135 0.493 0.863
0.316 0.836 0.254
0.373 0.484 0.363
0.186 0.997 0.912
0.551 0.862 0.477
0.969 0.167 0.584
0.317 0.869 0.980
0.652 0.152 0.425
0.844 0.323 0.530
0.840 0.318 0.247
0.975 0.795 0.802
0.848 0.499 0.426
0.478 0.160 0.247
0.681 0.521 0.247
0.502 0.350 0.425
0.213 0.199 0.809
0.313 0.486 0.759
0.851 0.520 0.747
0.813 0.994 0.413
0.517 0.890 0.362
0.018 0.196 0.910
0.354 0.494 0.078
0.766 0.953 0.690
0.190 0.975 0.192
0.821 0.025 0.803
0.006 0.819 0.413
0.215 0.021 0.308
0.833 0.034 0.081
0.137 0.688 0.477
0.646 0.525 0.643
0.504 0.145 0.921
0.520 0.684 0.254
0.548 0.681 0.978
0.200 0.034 0.583
0.881 0.357 0.643
0.141 0.494 0.579
0.164 0.480 0.254
0.025 0.215 0.192
0.483 0.339 0.748
0.474 0.151 0.526
0.841 0.518 0.028
0.979 0.194 0.308
0.785 0.810 0.192
0.034 0.802 0.688
0.485 0.124 0.639
0.674 0.520 0.530
0.806 0.785 0.308
0.506 0.860 0.078
0.480 0.357 0.140
0.881 0.523 0.142
0.642 0.119 0.142
0.201 0.167 0.081
0.680 0.155 0.745
0.808 0.817 0.910
0.109 0.625 0.363
0.480 0.324 0.026
0.312 0.450 0.477
0.141 0.454 0.976
0.676 0.160 0.029
0.521 0.832 0.761
0.353 0.860 0.866
0.351 0.858 0.578
0.506 0.647 0.580
0.833 0.802 0.583
0.858 0.360 0.921
0.036 0.666 0.419
0.332 0.963 0.921
0.666 0.629 0.587
0.700 0.702 0.250
0.002 0.300 0.250
0.298 0.998 0.250
0.631 0.669 0.920
0.374 0.335 0.083
0.705 0.000 0.750
0.002 0.706 0.749
0.038 0.372 0.919
0.297 0.298 0.752
0.962 0.627 0.085
0.334 0.370 0.419
0.665 0.039 0.085
0.963 0.335 0.587
0.372 0.037 0.585
0.630 0.964 0.419
0.317 0.294 0.911
0.633 0.000 0.248
0.987 0.350 0.746
0.666 0.709 0.087
0.000 0.000 0.499
0.983 0.299 0.405
0.655 0.638 0.746
0.986 0.987 0.996
0.315 0.016 0.405
0.667 0.333 0.322
0.044 0.333 0.088
0.000 0.633 0.248
0.367 0.367 0.248
0.041 0.708 0.586
0.701 0.685 0.405
0.292 0.335 0.586
0.333 0.666 0.169
0.666 0.960 0.586
0.290 0.957 0.087
0.663 0.319 0.825
0.335 0.680 0.660
0.660 0.326 0.684
0.335 0.670 0.015
0.333 0.667 0.318
0.000 0.999 0.155
0.995 0.993 0.849
0.003 0.999 0.657
0.000 0.000 0.341
0.667 0.334 0.182
0.333 0.667 0.512
0.671 0.334 0.979
0.666 0.333 0.482
0.333 0.673 0.816
```

No. 11
First-principles (PBE-GGA) data for a geometry-optimized KMgSbP2O8 structure, as listed in the Materials Project database.

Values from the calculation:
Excess energy over the best structure of this formula in the dataset ... 0 meV per atom
Space group ... R3, No. 146
Formation energy ... -3207.8 kJ/mol of formula units

Geometry as POSCAR:
```
KMgSbP2O8
1.0
-8.053 3.457 0.302
-7.987 -0.619 3.565
-5.966 3.957 5.063
Mg O P K Sb
1 8 2 1 1
direct
0.891 0.891 0.891
0.580 0.196 0.029
0.997 0.435 0.757
0.185 0.185 0.185
0.029 0.580 0.196
0.196 0.029 0.580
0.813 0.813 0.813
0.435 0.757 0.997
0.757 0.997 0.435
0.751 0.751 0.751
0.247 0.247 0.247
0.481 0.481 0.481
0.015 0.015 0.015
```

No. 12
First-principles (PBE-GGA) data for a geometry-optimized Ba3Se structure, as listed in the Materials Project database.

Values from the calculation:
Space group ... Pm-3m, No. 221
Formation energy ... -230.1 kJ/mol of formula units

Geometry as POSCAR:
```
Ba3Se
1.0
-1.648 -1.483 4.986
-4.254 -2.626 -2.187
2.994 -4.548 -0.363
Ba Se
3 1
direct
0.500 0.500 0.000
0.500 0.000 0.500
0.000 0.500 0.500
0.000 0.000 0.000
```

| no. | energy (hartree per atom) |
| --- | --- |
| 1 | -0.2284 |
| 2 | -0.1080 |
| 3 | -0.1258 |
| 4 | -0.1903 |
| 5 | -0.1075 |
| 6 | -0.1972 |
| 7 | -0.1969 |
| 8 | -0.1695 |
| 9 | -0.1796 |
| 10 | -0.2379 |
| 11 | -0.2403 |
| 12 | -0.1026 |